Entry 1:
# Na10CaSn12 | the Materials Project | PBE | relaxed
data_Na10CaSn12
_cell_length_a 9.791
_cell_length_b 9.791
_cell_length_c 9.791
_cell_angle_alpha 109.47
_cell_angle_beta 109.47
_cell_angle_gamma 109.47
_symmetry_space_group_name_H-M 'P 1'
_symmetry_Int_Tables_number 1
_symmetry_space_group_name_Hall 'P 1'
loop_
_atom_site_label
_atom_site_type_symbol
_atom_site_fract_x
_atom_site_fract_y
_atom_site_fract_z
Na1 Na 0.500 0.750 0.250
Sn1 Sn 0.188 0.371 0.000
Na2 Na 0.000 0.613 0.000
Na3 Na 0.250 0.500 0.750
Sn2 Sn 0.817 0.629 0.629
Ca1 Ca 0.000 0.000 0.000
Na4 Na 0.000 0.000 0.613
Sn3 Sn 0.188 0.000 0.371
Na5 Na 0.750 0.250 0.500
Sn4 Sn 0.812 0.183 0.812
Sn5 Sn 0.371 0.000 0.188
Na6 Na 0.387 0.387 0.387
Na7 Na 0.613 0.000 0.000
Na8 Na 0.500 0.250 0.750
Sn6 Sn 0.629 0.629 0.817
Sn7 Sn 0.183 0.812 0.812
Sn8 Sn 0.371 0.188 0.000
Na9 Na 0.750 0.500 0.250
Na10 Na 0.250 0.750 0.500
Sn9 Sn 0.000 0.371 0.188
Sn10 Sn 0.629 0.817 0.629
Sn11 Sn 0.000 0.188 0.371
Sn12 Sn 0.812 0.812 0.183
# Symmetry: I-43m
# ρ in g cm⁻³: 3.894
# Largest piezoelectric modulus in C/m2: 0.155
# DFT formation energy in eV per atom: -0.263
# Uncorrected energy in eV per cell: -69.40



Entry 2:
# NaCa2Tl | the Materials Project | PBE | relaxed
data_NaCa2Tl
_cell_length_a 5.617
_cell_length_b 5.617
_cell_length_c 5.617
_cell_angle_alpha 60.00
_cell_angle_beta 60.00
_cell_angle_gamma 60.00
_symmetry_space_group_name_H-M 'P 1'
_symmetry_Int_Tables_number 1
_symmetry_space_group_name_Hall 'P 1'
loop_
_atom_site_label
_atom_site_type_symbol
_atom_site_fract_x
_atom_site_fract_y
_atom_site_fract_z
Na1 Na 0.500 0.500 0.500
Tl1 Tl 0.000 0.000 0.000
Ca1 Ca 0.250 0.250 0.250
Ca2 Ca 0.750 0.750 0.750
# Symmetry: Fm-3m
# ρ in g cm⁻³: 4.076
# DFT formation energy in eV per atom: -0.224
# Uncorrected energy in eV per cell: -8.59



Entry 3:
# Ca2NdNbO6 | the Materials Project | PBE | relaxed
data_Ca2NdNbO6
_cell_length_a 5.663
_cell_length_b 5.950
_cell_length_c 8.223
_cell_angle_alpha 90.00
_cell_angle_beta 90.17
_cell_angle_gamma 90.00
_symmetry_space_group_name_H-M 'P 1'
_symmetry_Int_Tables_number 1
_symmetry_space_group_name_Hall 'P 1'
loop_
_atom_site_label
_atom_site_type_symbol
_atom_site_fract_x
_atom_site_fract_y
_atom_site_fract_z
Nb1 Nb 0.500 0.501 0.502
Nb2 Nb 0.000 0.999 0.002
Nd1 Nd 0.484 0.058 0.756
O1 O 0.877 0.943 0.770
O2 O 0.709 0.179 0.053
Ca1 Ca 0.514 0.944 0.245
O3 O 0.209 0.321 0.553
O4 O 0.294 0.825 0.945
O5 O 0.831 0.712 0.073
Ca2 Ca 0.999 0.997 0.500
O6 O 0.173 0.282 0.928
Nd2 Nd 0.984 0.442 0.256
O7 O 0.673 0.218 0.428
O8 O 0.794 0.675 0.445
Ca3 Ca 0.499 0.503 0.000
O9 O 0.377 0.557 0.270
O10 O 0.618 0.443 0.730
O11 O 0.118 0.057 0.230
O12 O 0.331 0.788 0.573
Ca4 Ca 0.014 0.556 0.745
# Symmetry: Pc
# ρ in g cm⁻³: 4.954
# DFT formation energy in eV per atom: -3.444
# Uncorrected energy in eV per cell: -157.78



Entry 4:
# Ca3NbO6 | the Materials Project | PBE | relaxed
data_Ca3NbO6
_cell_length_a 5.942
_cell_length_b 5.687
_cell_length_c 9.893
_cell_angle_alpha 55.38
_cell_angle_beta 90.00
_cell_angle_gamma 90.00
_symmetry_space_group_name_H-M 'P 1'
_symmetry_Int_Tables_number 1
_symmetry_space_group_name_Hall 'P 1'
loop_
_atom_site_label
_atom_site_type_symbol
_atom_site_fract_x
_atom_site_fract_y
_atom_site_fract_z
O1 O 0.284 0.244 0.926
O2 O 0.216 0.244 0.426
Ca1 Ca 0.058 0.726 0.758
O3 O 0.323 0.654 0.556
O4 O 0.177 0.654 0.056
O5 O 0.677 0.346 0.444
Ca2 Ca 0.000 0.500 0.500
O6 O 0.941 0.107 0.770
Nb1 Nb 0.500 0.000 0.500
Ca3 Ca 0.558 0.274 0.742
O7 O 0.784 0.756 0.574
O8 O 0.716 0.756 0.074
O9 O 0.059 0.893 0.230
Nb2 Nb 0.000 0.000 0.000
Ca4 Ca 0.500 0.500 0.000
Ca5 Ca 0.942 0.274 0.242
O10 O 0.441 0.893 0.730
O11 O 0.559 0.107 0.270
Ca6 Ca 0.442 0.726 0.258
O12 O 0.823 0.346 0.944
# Symmetry: P2_1/c
# ρ in g cm⁻³: 3.732
# DFT formation energy in eV per atom: -3.111
# Uncorrected energy in eV per cell: -145.59